(1)
Computed, not measured: a relaxed Ho4MgRh crystal at the PBE-GGA level of DFT.

Cell: 9.6666 9.6666 9.6666 Å, 60.00 60.00 60.00°
Closest atoms and distances in Å follow each position.
Fractional coordinates of all 24 atoms:
Ho  0.8125  0.8125  0.1875  2 Rh 2.81
Ho  0.5648  0.9352  0.5648  2 Mg 3.30, 2 Rh 3.51, 10 Ho 3.52-3.63
Ho  0.3468  0.3468  0.3468  3 Rh 2.81
Ho  0.8125  0.1875  0.8125  2 Rh 2.81
Ho  0.5648  0.5648  0.9352  2 Mg 3.30, 2 Rh 3.51, 10 Ho 3.52-3.63
Ho  0.5648  0.9352  0.9352  2 Mg 3.30, 2 Rh 3.51, 10 Ho 3.52-3.63
Ho  0.1875  0.8125  0.1875  2 Rh 2.81
Ho  0.9352  0.5648  0.5648  2 Mg 3.30, 2 Rh 3.51, 10 Ho 3.52-3.63
Ho  0.9352  0.9352  0.5648  2 Mg 3.30, 2 Rh 3.51, 10 Ho 3.52-3.63
Ho  0.3468  0.3468  0.9597  3 Rh 2.81
Ho  0.1875  0.8125  0.8125  2 Rh 2.81
Ho  0.9352  0.5648  0.9352  2 Mg 3.30, 2 Rh 3.51, 10 Ho 3.52-3.63
Ho  0.8125  0.1875  0.1875  2 Rh 2.81
Ho  0.9597  0.3468  0.3468  3 Rh 2.81
Ho  0.1875  0.1875  0.8125  2 Rh 2.81
Ho  0.3468  0.9597  0.3468  3 Rh 2.81
Rh  0.1415  0.1415  0.1415  6 Ho 2.81
Rh  0.1415  0.1415  0.5754  6 Ho 2.81
Rh  0.1415  0.5754  0.1415  6 Ho 2.81
Rh  0.5754  0.1415  0.1415  6 Ho 2.81
Mg  0.5794  0.5794  0.2617  3 Mg 3.07, 3 Ho 3.30
Mg  0.5794  0.5794  0.5794  3 Mg 3.07, 3 Ho 3.30
Mg  0.5794  0.2617  0.5794  3 Mg 3.07, 3 Ho 3.30
Mg  0.2617  0.5794  0.5794  3 Mg 3.07, 3 Ho 3.30

Values from the calculation:
* calculated formation energy: -402.3 meV/atom
* space-group type: F-43m (216)

(2)
Computed, not measured: a relaxed UGaPt crystal at the PBE-GGA level of DFT.

Cell: 7.0288 7.0288 4.1238 Å, 90.00 90.00 120.00°
Closest atoms and distances in Å follow each position.
Fractional coordinates of all 9 atoms:
U  0.5785  0.5785  0.5000  5 Pt 2.94-2.96, 2 Ga 3.13
U  0.4215  0.0000  0.5000  5 Pt 2.94-2.96, 2 Ga 3.13
U  0.0000  0.4215  0.5000  5 Pt 2.94-2.96, 2 Ga 3.13
Ga  0.0000  0.7569  0.0000  4 Pt 2.68-2.72, 2 Ga 2.96
Ga  0.2431  0.2431  0.0000  4 Pt 2.68-2.72, 2 Ga 2.96
Ga  0.7569  0.0000  0.0000  4 Pt 2.68-2.72, 2 Ga 2.96
Pt  0.0000  0.0000  0.5000  6 Ga 2.68, 3 U 2.96
Pt  0.3333  0.6667  0.0000  3 Ga 2.72, 6 U 2.94
Pt  0.6667  0.3333  0.0000  3 Ga 2.72, 6 U 2.94

Values from the calculation:
* calculated formation energy: -636.9 meV/atom
* space-group type: P-62m (189)

(3)
Computed, not measured: a relaxed Si2O crystal at the PBE-GGA level of DFT.

Cell: 3.8414 3.8414 4.4569 Å, 68.00 68.00 47.49°
Closest atoms and distances in Å follow each position.
Fractional coordinates of all 3 atoms:
Si  0.2889  0.2889  0.2062  2 O 2.00
Si  0.6524  0.6524  0.9377  1 O 1.73
O  0.7255  0.7255  0.5160  1 Si 1.73

Values from the calculation:
* calculated formation energy: -838.0 meV/atom
* ΔE to the lowest computed polymorph: 0.000 eV per formula unit
* space-group type: Cm (8)

(4)
Computed, not measured: a relaxed Na14Hf2Mg6Si5S7O48 crystal at the PBE-GGA level of DFT.

Cell: 18.2355 9.1163 22.3086 Å, 90.03 90.03 120.16°
Closest atoms and distances in Å follow each position.
Fractional coordinates of all 246 atoms:
S  0.8151  0.6742  0.9170  4 O 1.48-1.50
S  0.3345  0.6312  0.5844  4 O 1.47-1.53
S  0.5002  0.7094  0.7514  4 O 1.47-1.51
S  0.3524  0.7029  0.2521  4 O 1.49
S  0.8534  0.7094  0.2532  4 O 1.48-1.51
S  0.1657  0.9569  0.9162  4 O 1.48-1.50
S  0.8507  0.9960  0.7519  4 O 1.47-1.50
S  0.4984  0.2965  0.2535  4 O 1.48-1.51
S  0.1501  0.0016  0.2525  4 O 1.47-1.52
S  0.3118  0.6666  0.9156  4 O 1.48-1.50
S  0.4796  0.6270  0.0864  4 O 1.47-1.52
S  0.9997  0.2903  0.2513  4 O 1.47-1.50
S  0.3560  0.0002  0.7535  4 O 1.47-1.52
S  0.3171  0.9590  0.4142  4 O 1.47-1.51
S  0.9804  0.3312  0.5839  4 O 1.47-1.50
S  0.8122  0.9581  0.4147  4 O 1.48-1.50
S  0.5190  0.6695  0.4149  4 O 1.48-1.51
S  0.6625  0.3736  0.4128  4 O 1.48-1.52
S  0.6483  0.2982  0.7531  4 O 1.46-1.53
S  0.8346  0.0378  0.0854  4 O 1.48-1.53
S  0.0187  0.3678  0.9178  4 O 1.48-1.50
Na  0.6605  0.2860  0.9264  5 O 2.44-2.65
Na  0.8234  0.9532  0.5877  3 O 2.32-2.47
Na  0.0053  0.9856  0.4988  5 O 2.46-2.75
Na  0.5087  0.0184  0.5034  5 O 2.48-2.73
Na  0.3251  0.9915  0.5840  4 O 2.40-2.68
Na  0.8098  0.0028  0.2509  3 O 2.29-2.48
Na  0.1528  0.3256  0.5765  5 O 2.46-2.64
Na  0.6879  0.3508  0.2442  4 O 2.35-2.64
Na  0.1746  0.0017  0.7433  4 O 2.47-2.75
Na  0.3169  0.3227  0.3335  4 O 2.32-2.58
Na  0.9919  0.3158  0.4240  5 O 2.42-2.70
Na  0.9808  0.6629  0.9128  6 O 2.36-2.62
Na  0.0249  0.3655  0.0831  2 O 2.29-2.40
Na  0.6678  0.6618  0.1633  4 O 2.35-2.58
Na  0.8447  0.0397  0.9118  5 O 2.36-2.63
Na  0.8293  0.3353  0.8252  4 O 2.33-2.60
Na  0.8570  0.6626  0.4282  3 O 2.23-2.49
Na  0.6714  0.6668  0.6554  3 O 2.34-2.48
Na  0.5063  0.6494  0.2469  5 O 2.40-2.66
Na  0.3367  0.3311  0.8304  5 O 2.40-2.65
Na  0.3079  0.6148  0.7510  4 O 2.29-2.52
Na  0.8281  0.6626  0.0786  5 O 2.43-2.69
Na  0.5136  0.3295  0.0660  1 O 2.23
Na  0.5251  0.6850  0.5875  2 O 2.31-2.41
Na  0.1676  0.6721  0.1535  3 O 2.34-2.42
Na  0.1577  0.6730  0.6705  3 O 2.33-2.51
Na  0.0063  0.3781  0.7457  3 O 2.30-2.52
Na  0.0145  0.6973  0.5749  5 O 2.42-2.65
Na  0.4908  0.6676  0.9191  3 O 2.40-2.66
Na  0.6712  0.0446  0.4222  4 O 2.36-2.64
Na  0.1676  0.2944  0.9144  6 O 2.48-2.60
Na  0.1577  0.0306  0.4313  4 O 2.33-2.59
Na  0.6695  0.3617  0.5827  3 O 2.37-2.59
Na  0.3190  0.6906  0.0824  3 O 2.32-2.50
Na  0.3412  0.6496  0.4186  2 O 2.33-2.53
Na  0.3557  0.0495  0.9244  4 O 2.32-2.51
Na  0.1642  0.9699  0.0772  3 O 2.36-2.57
Na  0.0081  0.9985  0.9967  5 O 2.42-2.65
Na  0.6584  0.9869  0.0697  1 O 2.30
Na  0.8407  0.3448  0.3329  4 O 2.33-2.58
Na  0.5056  0.0239  0.9912  2 O 2.33-2.41
Na  0.4815  0.3054  0.4294  4 O 2.25-2.50
O  0.2520  0.8489  0.0761  1 Si 1.63
O  0.3528  0.5612  0.5295  1 S 1.49
O  0.5827  0.9791  0.9122  1 Si 1.64
O  0.5951  0.2138  0.6973  1 S 1.53
O  0.7401  0.3719  0.1462  1 Si 1.62
O  0.4275  0.3305  0.2469  1 S 1.48
O  0.4030  0.9764  0.4063  1 S 1.50
O  0.3204  0.5130  0.9203  1 S 1.49
O  0.4206  0.2874  0.5188  1 Si 1.64
O  0.9399  0.3523  0.6377  1 S 1.47
O  0.2613  0.6558  0.5777  1 S 1.47
O  0.1733  0.8358  0.5784  1 Si 1.64
O  0.0066  0.1924  0.9136  1 S 1.50
O  0.3203  0.1270  0.1403  1 Si 1.61
O  0.9218  0.4804  0.4172  1 Si 1.64
O  0.0787  0.4618  0.2536  1 S 1.50
O  0.5705  0.4980  0.8623  1 Si 1.69
O  0.0879  0.9739  0.9147  1 S 1.50
O  0.2806  0.8617  0.4695  1 S 1.47
O  0.5091  0.8121  0.6962  1 S 1.51
O  0.2708  0.8463  0.7562  1 S 1.48
O  0.9194  0.5543  0.0200  1 Si 1.63
O  0.8208  0.1288  0.4197  1 S 1.49
O  0.2668  0.6846  0.2542  1 S 1.49
O  0.1693  0.4935  0.0738  1 Si 1.63
O  0.9876  0.1741  0.5880  1 S 1.50
O  0.9335  0.3528  0.9227  1 S 1.49
O  0.0750  0.6631  0.0750  1 Si 1.63
O  0.9126  0.0190  0.0933  1 S 1.53
O  0.4398  0.5279  0.1417  1 S 1.49
O  0.6829  0.8633  0.8649  1 Si 1.69
O  0.2429  0.1293  0.9183  1 S 1.49
O  0.5911  0.0212  0.5922  1 Si 1.73
O  0.5005  0.1760  0.9091  1 Si 1.63
O  0.6030  0.1965  0.8059  1 S 1.47
O  0.8941  0.8154  0.1978  1 S 1.51
O  0.2213  0.1427  0.5234  1 Si 1.64
O  0.7481  0.1681  0.2453  1 Si 1.64
O  0.5789  0.6963  0.7540  1 S 1.50
O  0.3974  0.9772  0.6979  1 S 1.52
O  0.8158  0.5078  0.6361  1 Si 1.60
O  0.3989  0.8189  0.9098  1 S 1.50
O  0.0602  0.4695  0.8631  1 S 1.49
O  0.1103  0.1895  0.8119  1 Si 1.63
O  0.5802  0.4618  0.2560  1 S 1.50
O  0.6580  0.8238  0.2533  1 Si 1.66
O  0.5880  0.1705  0.0925  1 Si 1.69
O  0.5877  0.9705  0.1949  1 Si 1.68
O  0.2492  0.3810  0.1375  1 Si 1.61
O  0.1839  0.5026  0.3632  1 Si 1.70
O  0.6743  0.5119  0.0794  1 Si 1.64
O  0.4926  0.7966  0.8049  1 S 1.48
O  0.1592  0.4626  0.4802  1 Si 1.62
O  0.2340  0.1563  0.2480  1 S 1.47
O  0.0872  0.6907  0.7547  1 Si 1.65
O  0.5824  0.2006  0.4107  1 S 1.52
O  0.4080  0.0121  0.8059  1 S 1.47
O  0.4222  0.3636  0.9168  1 Si 1.64
O  0.5727  0.6941  0.4679  1 S 1.48
O  0.9338  0.4918  0.1368  1 Si 1.61
O  0.2611  0.8673  0.3614  1 S 1.51
O  0.7213  0.2960  0.0265  1 Si 1.63
O  0.4854  0.1919  0.3073  1 S 1.48
O  0.0893  0.2056  0.6941  1 Si 1.68
O  0.7666  0.6882  0.2557  1 S 1.50
O  0.4866  0.8004  0.0907  1 S 1.52
O  0.7310  0.3095  0.7477  1 S 1.46
O  0.5589  0.6482  0.3597  1 S 1.49
O  0.0003  0.8248  0.4088  1 Si 1.63
O  0.4833  0.1564  0.5924  1 Si 1.71
O  0.5671  0.6551  0.0826  1 S 1.49
O  0.8938  0.9792  0.6976  1 S 1.49
O  0.0083  0.2056  0.1962  1 S 1.50
O  0.4236  0.5414  0.7465  1 S 1.47
O  0.7605  0.8650  0.0795  1 S 1.48
O  0.8222  0.1164  0.1399  1 S 1.48
O  0.1585  0.8472  0.2546  1 S 1.49
O  0.8230  0.5202  0.9172  1 S 1.48
O  0.6569  0.4694  0.7552  1 S 1.49
O  0.4334  0.5147  0.4200  1 S 1.49
O  0.2728  0.6927  0.9700  1 S 1.48
O  0.7523  0.6605  0.5752  1 Si 1.63
O  0.0720  0.4502  0.9714  1 S 1.48
O  0.9044  0.8034  0.3059  1 S 1.48
O  0.6701  0.8494  0.5752  1 Si 1.63
O  0.1050  0.0133  0.3054  1 S 1.47
O  0.9921  0.1877  0.3047  1 S 1.48
O  0.2221  0.2863  0.0202  1 Si 1.63
O  0.3228  0.5276  0.6380  1 S 1.47
O  0.2485  0.3211  0.7448  1 Si 1.65
O  0.7710  0.8510  0.4677  1 S 1.48
O  0.9180  0.4902  0.7463  1 Si 1.63
O  0.6696  0.4731  0.3580  1 S 1.49
O  0.8605  0.5726  0.5206  1 Si 1.64
O  0.7382  0.3525  0.4146  1 S 1.49
O  0.5077  0.8221  0.4106  1 S 1.51
O  0.6083  0.0308  0.3108  1 Si 1.63
O  0.9842  0.8111  0.0935  1 Si 1.72
O  0.9171  0.8336  0.5913  1 Si 1.67
O  0.1733  0.8711  0.8620  1 S 1.48
O  0.7555  0.1575  0.9204  1 Si 1.64
O  0.2558  0.3550  0.4199  1 Si 1.65
O  0.0714  0.6993  0.4765  1 Si 1.62
O  0.9304  0.3099  0.5284  1 S 1.49
O  0.3621  0.1541  0.0226  1 Si 1.64
O  0.4030  0.7918  0.3062  1 S 1.49
O  0.8421  0.1473  0.7475  1 S 1.47
O  0.0901  0.1622  0.0917  1 Si 1.72
O  0.9818  0.7685  0.8160  1 Si 1.62
O  0.3486  0.1537  0.7488  1 S 1.47
O  0.8993  0.8317  0.9120  1 S 1.49
O  0.2414  0.1099  0.6429  1 Si 1.62
O  0.1583  0.8572  0.9708  1 S 1.48
O  0.8985  0.9787  0.4088  1 S 1.49
O  0.4169  0.0033  0.0934  1 Si 1.68
O  0.8516  0.1432  0.0314  1 S 1.48
O  0.0691  0.6406  0.3606  1 Si 1.71, 1 Hf 1.91
O  0.3254  0.1299  0.4144  1 S 1.49
O  0.5705  0.4426  0.9776  1 Si 1.62
O  0.5072  0.2060  0.1997  1 S 1.51
O  0.6545  0.4581  0.4669  1 S 1.48
O  0.3489  0.5367  0.2486  1 S 1.49
O  0.7530  0.1342  0.6364  1 Si 1.60
O  0.8463  0.5412  0.2493  1 S 1.48
O  0.9017  0.0134  0.8065  1 S 1.49
O  0.2593  0.6462  0.8616  1 S 1.49
O  0.9233  0.3056  0.2467  1 S 1.47
O  0.7655  0.8376  0.7547  1 S 1.50
O  0.4134  0.8070  0.5919  1 S 1.53
O  0.0083  0.8151  0.6980  1 Si 1.69
O  0.7211  0.1572  0.5188  1 Si 1.64
O  0.6567  0.8548  0.9814  1 Si 1.63
O  0.0830  0.1871  0.4117  1 Si 1.63
O  0.3953  0.8060  0.1976  1 S 1.49
O  0.7600  0.6549  0.8640  1 S 1.50
O  0.4290  0.5484  0.0322  1 S 1.47
O  0.7750  0.6908  0.9726  1 S 1.49
O  0.5752  0.4878  0.5744  1 Si 1.63
O  0.1635  0.4927  0.7530  1 Si 1.64
O  0.4325  0.3756  0.6351  1 Si 1.61
O  0.0675  0.4810  0.5799  1 S 1.49
O  0.0981  0.9821  0.1967  1 S 1.52
O  0.7605  0.8768  0.3596  1 S 1.50
O  0.0886  0.0100  0.5895  1 Si 1.68
Si  0.3351  0.0372  0.0831  4 O 1.61-1.68
Si  0.6853  0.3445  0.0856  4 O 1.62-1.69
Si  0.1544  0.3041  0.7522  4 O 1.63-1.68
Si  0.1694  0.3702  0.4214  4 O 1.62-1.70
Si  0.6905  0.0450  0.5809  4 O 1.60-1.73
Si  0.8351  0.6368  0.5817  4 O 1.60-1.67
Si  0.9770  0.6182  0.0808  4 O 1.61-1.72
Si  0.9950  0.6842  0.7559  4 O 1.62-1.69
Si  0.1840  0.0253  0.5835  4 O 1.62-1.68
Si  0.5126  0.3647  0.9180  4 O 1.62-1.69
Si  0.6694  0.9693  0.9220  4 O 1.63-1.69
Si  0.0125  0.6604  0.4177  4 O 1.62-1.71
Si  0.6531  0.0004  0.2527  4 O 1.63-1.68
Si  0.4771  0.3357  0.5805  4 O 1.61-1.71
Si  0.1885  0.3381  0.0798  4 O 1.61-1.72
Mg  0.0047  0.9928  0.8370  3 O 1.93-2.09
Mg  0.3324  0.3167  0.9864  4 O 1.99-2.21
Mg  0.8316  0.3419  0.1808  3 O 1.94-2.12
Mg  0.6660  0.6736  0.3156  6 O 2.01-2.22
Mg  0.8352  0.3492  0.4902  4 O 1.97-2.16
Mg  0.1579  0.6642  0.5142  3 O 1.95-2.03
Mg  0.3259  0.3208  0.4884  3 O 1.94-2.11
Mg  0.0054  0.0021  0.3556  6 O 1.97-2.20
Mg  0.8292  0.3441  0.6816  3 O 1.92-2.08
Mg  0.6607  0.6526  0.0121  4 O 1.95-2.12
Mg  0.1613  0.6585  0.8122  5 O 1.99-2.15
Mg  0.8264  0.3355  0.9860  3 O 1.98-2.08
Mg  0.5050  0.0082  0.8547  6 O 1.99-2.21
Mg  0.3303  0.3162  0.6814  3 O 1.95-2.07
Mg  0.5051  0.0050  0.3444  3 O 1.93-2.08
Mg  0.1662  0.6691  0.0216  6 O 2.00-2.18
Mg  0.6670  0.6674  0.5229  5 O 1.97-2.19
Mg  0.3203  0.3143  0.1770  2 O 1.89-1.90
Hf  0.0045  0.9897  0.6522  4 O 1.92-2.03
Hf  0.0056  0.9972  0.1463  4 O 1.94-2.16
Hf  0.1617  0.6530  0.3165  3 O 1.91-2.13
Hf  0.5036  0.0059  0.1486  6 O 1.97-2.19
Hf  0.6628  0.6712  0.8171  3 O 1.92-2.13
Hf  0.5054  0.0147  0.6468  6 O 1.96-2.18

Values from the calculation:
* calculated formation energy: -2571.5 meV/atom
* space-group type: P1 (1)

no.,VASP energy (eV/f.u.)
1,-29.71
2,-22.30
3,-17.63
4,-519.50